# BaTb2S4 (PBE, optimized geometry)
data_BaTb2S4
_chemical_formula_sum 'Ba4 Tb8 S16'
_cell_length_a 12.3603
_cell_length_b 4.0841
_cell_length_c 14.6346
_cell_angle_alpha 90.00
_cell_angle_beta 90.00
_cell_angle_gamma 90.00
_space_group_name_H-M_alt 'P 1'
_space_group_IT_number 1
_space_group_name_Hall 'P 1'
loop_
_atom_site_label
_atom_site_type_symbol
_atom_site_fract_x
_atom_site_fract_y
_atom_site_fract_z
_atom_site_occupancy
Ba1 Ba 0.2432 0.2500 0.1614 1
Ba2 Ba 0.2568 0.7500 0.6614 1
Ba3 Ba 0.7432 0.2500 0.3386 1
Ba4 Ba 0.7568 0.7500 0.8386 1
Tb1 Tb 0.0676 0.2500 0.3908 1
Tb2 Tb 0.0794 0.2500 0.8985 1
Tb3 Tb 0.4206 0.7500 0.3985 1
Tb4 Tb 0.4324 0.7500 0.8908 1
Tb5 Tb 0.5676 0.2500 0.1092 1
Tb6 Tb 0.5794 0.2500 0.6015 1
Tb7 Tb 0.9206 0.7500 0.1015 1
Tb8 Tb 0.9324 0.7500 0.6092 1
S1 S 0.0233 0.7500 0.7833 1
S2 S 0.0803 0.2500 0.5769 1
S3 S 0.1245 0.7500 0.0235 1
S4 S 0.2067 0.7500 0.3349 1
S5 S 0.2933 0.2500 0.8349 1
S6 S 0.3755 0.2500 0.5235 1
S7 S 0.4197 0.7500 0.0769 1
S8 S 0.4767 0.2500 0.2833 1
S9 S 0.5233 0.7500 0.7167 1
S10 S 0.5803 0.2500 0.9231 1
S11 S 0.6245 0.7500 0.4765 1
S12 S 0.7067 0.7500 0.1651 1
S13 S 0.7933 0.2500 0.6651 1
S14 S 0.8755 0.2500 0.9765 1
S15 S 0.9197 0.7500 0.4231 1
S16 S 0.9767 0.2500 0.2167 1
# Calculated formation energy in eV per atom: -2.422